DFT (PBE+U) results for a geometry-optimized Y2CoTe2S2O14 structure.

Results
* density: 4.38 g/cm³
* M_tot: 0.000 μB per formula unit
* DFT total energy: -566.32 eV per cell
* formation energy from the elements: -2332 meV/atom

```
Y2CoTe2S2O14
1.0
0.0058 0.0370 8.1794
4.2194 14.2233 0.2129
-10.1785 -0.0091 -3.0941
O Y S Te Co
56 8 8 8 4
Cartesian
-4.1357 11.2151 3.6369
-4.5108 9.3070 1.2272
-5.5435 5.4675 -0.6908
0.4416 13.7842 -0.2959
-9.1623 2.2140 4.4363
0.5785 9.3150 2.7742
2.8401 10.1674 6.6291
-4.0732 2.2193 5.9835
1.2125 13.5688 5.0633
1.0209 4.1140 5.0656
-1.4476 3.0505 6.5367
-6.3946 0.4678 5.5945
-7.1667 0.6830 0.2359
-7.0612 1.9630 2.3289
-1.7425 7.5617 2.3865
-2.2497 10.1638 5.0840
-6.9752 10.1369 0.2332
-1.9718 1.9668 3.8753
-3.7039 4.0879 0.2157
-8.7931 4.0837 -1.3314
-5.4989 8.7790 4.4419
0.0225 1.6558 2.5666
0.5841 11.2051 0.3083
-1.8804 12.0350 -0.6857
-6.8329 7.5581 0.8373
3.2089 12.0361 0.8614
-0.4543 5.4719 0.8558
-6.5316 4.9373 2.5246
-4.0681 4.1092 3.5186
-2.4100 9.0595 -0.8789
0.8787 6.6934 4.4604
-8.6328 5.1884 4.6321
-0.8866 12.6001 4.2790
-3.8751 13.5631 3.5132
-6.5360 3.0469 4.9891
-5.0672 1.6514 1.0198
-1.8841 10.1411 1.7800
-6.9066 3.0310 0.1130
-1.3050 0.4713 7.1415
0.9531 11.2208 5.1859
-3.4441 6.4360 0.0933
-3.5437 5.1933 6.1796
1.6448 6.4408 1.6396
-4.5072 11.2008 -1.2384
-1.8174 3.0349 1.6597
1.1079 12.2890 2.9705
-7.5980 7.8102 3.6576
-4.2100 6.6880 2.9137
2.6795 9.0621 0.6651
-0.4104 8.7842 5.9909
-4.6486 13.7802 -1.8449
-2.5101 7.8158 5.2077
-3.9811 12.2824 1.4204
-2.0766 0.6868 1.7825
-5.9749 12.5947 2.7300
-1.4424 4.9409 4.0716
-3.0660 1.7624 -0.1921
-2.8871 12.4892 5.4909
1.5916 8.8954 4.7782
-7.5443 5.3566 0.5209
-3.4983 8.8895 3.2300
-2.4556 5.3599 2.0677
2.2017 12.4928 7.0368
-8.1552 1.7587 -1.7393
0.5857 12.4258 4.3498
1.0179 5.2974 0.9265
-1.8824 8.9593 5.9201
-4.0713 5.2931 -0.6202
-4.5029 12.4196 2.8007
-6.9711 8.9532 4.3713
-1.4498 1.8299 2.4958
-6.5394 1.8262 0.9492
-0.6851 12.5981 0.6854
-5.7061 8.7440 -0.1440
-0.2469 5.5077 5.4420
-5.7743 12.5950 -0.8628
-0.1789 1.6573 6.1597
-0.6169 8.7470 1.4044
-5.2684 1.6529 4.6128
-5.3367 5.5026 3.8955
-3.1956 10.6710 0.2708
-2.7577 3.5801 5.0276
1.8937 10.6755 1.8178
-7.8471 3.5756 3.4803
```